Record 1
MgZn2Fe4O8 | PBE with a Hubbard U | relaxed

Unit cell a=6.0179 b=6.0179 c=6.4190 alpha=118.77 beta=118.77 gamma=59.78
Closest atoms and distances in Å follow each position.
Element x y z (fractional)
Mg  0.0000  0.0000  0.0000  6 O 2.18-2.29
Zn  0.0000  0.5000  0.0000  2 O 1.95
Zn  0.5000  0.0000  0.0000  2 O 1.95
Fe  0.1831  0.1831  0.4786  2 O 1.90-2.00
Fe  0.5000  0.5000  0.0000  6 O 1.98-2.11
Fe  0.5000  0.5000  0.5000  6 O 2.06-2.22
Fe  0.8169  0.8169  0.5214  2 O 1.90-2.00
O  0.2478  0.7308  0.7524  3 Fe 2.11-2.22, 1 Mg 2.18, 1 Zn 2.26
O  0.2630  0.2630  0.2586  2 Fe 2.00-2.06, 2 Zn 2.18
O  0.2692  0.7522  0.2476  3 Fe 2.11-2.22, 1 Mg 2.18, 1 Zn 2.26
O  0.2739  0.2739  0.8303  2 Fe 1.90-1.98, 2 Zn 1.95
O  0.7261  0.7261  0.1697  2 Fe 1.90-1.98, 2 Zn 1.95
O  0.7308  0.2478  0.7524  3 Fe 2.11-2.22, 1 Mg 2.18, 1 Zn 2.26
O  0.7370  0.7370  0.7414  2 Fe 2.00-2.06, 2 Zn 2.18
O  0.7522  0.2692  0.2476  3 Fe 2.11-2.22, 1 Mg 2.18, 1 Zn 2.26

Output
DFT total energy	-0.2147	Ha/atom
calculated formation energy	-1.638	eV/atom
offset from the most stable computed form	60	meV/atom

=====

Record 2
MgZn2Fe4O8 | PBE with a Hubbard U | relaxed

Unit cell a=2.9529 b=11.1445 c=5.3267 alpha=90.00 beta=105.99 gamma=90.00
Closest atoms and distances in Å follow each position.
Element x y z (fractional)
Mg  0.0000  0.0000  0.0000  4 O 1.94-1.99
Zn  0.7384  0.0000  0.4721  2 O 2.01
Zn  0.9303  0.5000  0.8608  6 O 2.08-2.30
Fe  0.1883  0.3413  0.3751  5 O 2.04-2.16
Fe  0.1883  0.6587  0.3751  5 O 2.04-2.16
Fe  0.4439  0.2334  0.8888  5 O 1.92-2.04
Fe  0.4439  0.7666  0.8888  5 O 1.92-2.04
O  0.0586  0.1654  0.1202  1 Mg 1.94, 2 Fe 2.04
O  0.0586  0.8346  0.1202  1 Mg 1.94, 2 Fe 2.04
O  0.2878  0.5000  0.5741  2 Fe 2.04, 2 Zn 2.08
O  0.3704  0.0000  0.7390  2 Mg 1.99, 2 Zn 2.01
O  0.5443  0.3804  0.0856  3 Fe 1.92-2.14
O  0.5443  0.6196  0.0856  3 Fe 1.92-2.14
O  0.8120  0.2571  0.6236  4 Fe 2.02-2.16
O  0.8120  0.7429  0.6236  4 Fe 2.02-2.16

Output
DFT total energy	-0.2108	Ha/atom
calculated formation energy	-1.532	eV/atom
offset from the most stable computed form	166	meV/atom

=====

calculated formation energy of number 1 (MgZn2Fe4O8)? -1.638 eV/atom

=====

What is the calculated formation energy in the second record? -1.532 eV/atom